(1)
# Li3BiO3 r2SCAN optimized geometry
# energy relative to the elements	-1.821	eV/atom
# total magnetic moment	0.0000	μB/atom
data_Li3BiO3
_cell_length_a 8.9181
_cell_length_b 9.1571
_cell_length_c 9.6825
_cell_angle_alpha 65.59
_cell_angle_beta 72.56
_cell_angle_gamma 88.62
_symmetry_space_group_name_H-M 'P -1'
_symmetry_Int_Tables_number 2
_symmetry_space_group_name_Hall '-P 1'
loop_
_atom_site_label
_atom_site_fract_x
_atom_site_fract_y
_atom_site_fract_z
_atom_site_occupancy
Li1 0.0057 0.3734 0.1094 1
Li2 0.0216 0.7765 0.4482 1
Li3 0.0285 0.2247 0.9462 1
Li4 0.0749 0.9236 0.6279 1
Li5 0.1501 0.6053 0.6586 1
Li6 0.1555 0.0632 0.7885 1
Li7 0.1765 0.9655 0.1595 1
Li8 0.1897 0.3499 0.5942 1
Li9 0.3396 0.8748 0.3592 1
Li10 0.3981 0.5841 0.5008 1
Li11 0.4212 0.0071 0.9145 1
Li12 0.4236 0.1670 0.5674 1
Bi1 0.2155 0.6372 0.2300 1
Bi2 0.2549 0.2064 0.3057 1
Bi3 0.3367 0.7531 0.8009 1
Bi4 0.3500 0.3391 0.8608 1
O1 0.0231 0.7730 0.2359 1
O2 0.0376 0.2995 0.3153 1
O3 0.1146 0.8358 0.8418 1
O4 0.1332 0.4493 0.8844 1
O5 0.1466 0.9818 0.3616 1
O6 0.1953 0.5803 0.4643 1
O7 0.2140 0.1602 0.5433 1
O8 0.2217 0.1162 0.9474 1
O9 0.3582 0.7444 0.5836 1
O10 0.3783 0.8467 0.1417 1
O11 0.3895 0.3602 0.6323 1
O12 0.4687 0.9744 0.7240 1



(2)
# TcF6 r2SCAN optimized geometry
# energy relative to the elements	-2.090	eV/atom
# relative energy among the computed polymorphs	0.029	eV per atom
# total magnetic moment	0.1429	μB/atom
data_TcF6
_cell_length_a 6.3018
_cell_length_b 6.3018
_cell_length_c 6.2411
_cell_angle_alpha 90.00
_cell_angle_beta 90.00
_cell_angle_gamma 90.00
_symmetry_space_group_name_H-M 'I 4/m m m'
_symmetry_Int_Tables_number 139
_symmetry_space_group_name_Hall '-I 4 2'
loop_
_atom_site_label
_atom_site_fract_x
_atom_site_fract_y
_atom_site_fract_z
_atom_site_occupancy
Tc1 0.0000 0.0000 0.0000 1
F1 0.0000 0.0000 0.2884 1
F2 0.0000 0.2915 0.0000 1